(1)
AsSeS3N5F6 | PBE | optimized geometry

Values from the calculation:
The calculation puts the total energy at -329.8 eV/cell. Its crystal system is monoclinic. The value obtained for the density is 2.64 g cm⁻³. The spin magnetization is 0.002 μB/cell.

Unit cell a=6.852 b=12.170 c=13.147 alpha=84.64 beta=90.00 gamma=90.00
Fractional positions:
As 0.074 0.996 0.398
As 0.149 0.495 0.905
As 0.851 0.495 0.405
As 0.926 0.996 0.898
Se 0.660 0.866 0.225
Se 0.657 0.126 0.580
Se 0.343 0.126 0.080
Se 0.340 0.866 0.725
S 0.184 0.687 0.603
S 0.339 0.290 0.520
S 0.661 0.290 0.020
S 0.658 0.702 0.788
S 0.185 0.304 0.203
S 0.422 0.761 0.077
S 0.342 0.702 0.288
S 0.423 0.229 0.730
S 0.577 0.229 0.230
S 0.815 0.304 0.703
S 0.816 0.687 0.103
S 0.578 0.761 0.577
N 0.489 0.778 0.820
N 0.497 0.212 0.986
N 0.610 0.316 0.752
N 0.504 0.876 0.613
N 0.148 0.768 0.687
N 0.685 0.312 0.135
N 0.496 0.876 0.113
N 0.504 0.115 0.193
N 0.689 0.681 0.674
N 0.390 0.316 0.252
N 0.511 0.778 0.320
N 0.154 0.227 0.116
N 0.608 0.673 0.057
N 0.392 0.673 0.557
N 0.311 0.681 0.174
N 0.503 0.212 0.486
N 0.315 0.312 0.635
N 0.496 0.115 0.693
N 0.846 0.227 0.616
N 0.852 0.768 0.187
F 0.938 0.850 0.918
F 0.066 0.988 0.263
F 0.648 0.470 0.488
F 0.919 0.143 0.878
F 0.850 0.636 0.427
F 0.352 0.470 0.988
F 0.062 0.850 0.418
F 0.934 0.988 0.763
F 0.331 0.991 0.396
F 0.669 0.991 0.896
F 0.690 0.524 0.299
F 0.081 0.143 0.378
F 0.013 0.467 0.510
F 0.310 0.524 0.799
F 0.923 0.005 0.033
F 0.945 0.517 0.821
F 0.853 0.353 0.383
F 0.150 0.636 0.927
F 0.077 0.005 0.533
F 0.987 0.467 0.010
F 0.186 0.002 0.900
F 0.055 0.517 0.321
F 0.147 0.353 0.883
F 0.814 0.002 0.400

(2)
As2Se2SN2F12 | PBE | optimized geometry

Values from the calculation:
The calculation puts the total energy at -175.0 eV/cell. Its crystal system is monoclinic. The value obtained for the density is 3.20 g cm⁻³. The spin magnetization is 0.002 μB/cell.

Unit cell a=7.793 b=7.793 c=10.943 alpha=87.09 beta=87.09 gamma=68.75
Fractional positions:
As 0.344 0.384 0.748
As 0.616 0.656 0.252
As 0.998 0.002 0.500
As 0.005 0.995 0.000
Se 0.568 0.845 0.857
Se 0.155 0.432 0.143
Se 0.576 0.862 0.639
Se 0.138 0.424 0.361
S 0.795 0.502 0.744
S 0.498 0.205 0.256
N 0.715 0.616 0.863
N 0.384 0.285 0.137
N 0.724 0.634 0.627
N 0.366 0.276 0.373
F 0.166 0.447 0.863
F 0.553 0.834 0.137
F 0.520 0.312 0.633
F 0.688 0.480 0.367
F 0.358 0.605 0.744
F 0.395 0.642 0.256
F 0.174 0.453 0.635
F 0.547 0.826 0.365
F 0.334 0.155 0.751
F 0.845 0.666 0.249
F 0.509 0.306 0.862
F 0.694 0.491 0.138
F 0.940 0.226 0.557
F 0.774 0.060 0.443
F 0.222 0.939 0.559
F 0.061 0.778 0.441
F 0.918 0.925 0.640
F 0.075 0.082 0.360
F 0.921 0.190 0.901
F 0.810 0.079 0.099
F 0.892 0.877 0.917
F 0.123 0.108 0.083
F 0.204 0.904 0.902
F 0.096 0.796 0.098

(3)
AsS2XeN2F13 | PBE | optimized geometry

Values from the calculation:
The calculation puts the total energy at -307.5 eV/cell. Its crystal system is monoclinic. The value obtained for the density is 2.87 g cm⁻³. The spin magnetization is 0.001 μB/cell.

Unit cell a=12.261 b=7.456 c=15.177 alpha=65.40 beta=90.00 gamma=90.00
Fractional positions:
As 0.237 0.762 0.620
As 0.263 0.762 0.120
As 0.763 0.238 0.380
As 0.737 0.238 0.880
S 0.532 0.842 0.800
S 0.968 0.842 0.300
S 0.468 0.158 0.200
S 0.032 0.158 0.700
S 0.170 0.400 0.943
S 0.330 0.400 0.443
S 0.830 0.600 0.057
S 0.670 0.600 0.557
Xe 0.386 0.164 0.839
Xe 0.114 0.164 0.339
Xe 0.614 0.836 0.161
Xe 0.886 0.836 0.661
N 0.488 0.058 0.753
N 0.012 0.058 0.253
N 0.512 0.942 0.247
N 0.988 0.942 0.747
N 0.274 0.361 0.914
N 0.226 0.361 0.414
N 0.726 0.639 0.086
N 0.774 0.639 0.586
F 0.645 0.764 0.850
F 0.855 0.764 0.350
F 0.355 0.236 0.150
F 0.145 0.236 0.650
F 0.479 0.766 0.908
F 0.021 0.766 0.408
F 0.521 0.234 0.092
F 0.979 0.234 0.592
F 0.479 0.658 0.792
F 0.021 0.658 0.292
F 0.521 0.342 0.208
F 0.979 0.342 0.708
F 0.592 0.892 0.697
F 0.908 0.892 0.197
F 0.408 0.108 0.303
F 0.092 0.108 0.803
F 0.274 0.863 0.703
F 0.226 0.863 0.203
F 0.726 0.137 0.297
F 0.774 0.137 0.797
F 0.340 0.581 0.665
F 0.160 0.581 0.165
F 0.660 0.419 0.335
F 0.840 0.419 0.835
F 0.131 0.942 0.573
F 0.369 0.942 0.073
F 0.869 0.058 0.427
F 0.631 0.058 0.927
F 0.143 0.602 0.707
F 0.357 0.602 0.207
F 0.857 0.398 0.293
F 0.643 0.398 0.793
F 0.328 0.924 0.533
F 0.172 0.924 0.033
F 0.672 0.076 0.467
F 0.828 0.076 0.967
F 0.141 0.330 0.054
F 0.359 0.330 0.554
F 0.859 0.670 0.946
F 0.641 0.670 0.446
F 0.132 0.618 0.914
F 0.368 0.618 0.414
F 0.868 0.382 0.086
F 0.632 0.382 0.586
F 0.060 0.328 0.917
F 0.440 0.328 0.417
F 0.940 0.672 0.083
F 0.560 0.672 0.583
F 0.196 0.662 0.537
F 0.304 0.662 0.037
F 0.804 0.338 0.463
F 0.696 0.338 0.963

(4)
AsSXeNF10 | PBE | optimized geometry

Values from the calculation:
The calculation puts the total energy at -435.1 eV/cell. Its crystal system is orthorhombic. The value obtained for the density is 3.01 g cm⁻³. The excess energy over the best structure of this formula in the dataset is 15.0 meV/atom. The spin magnetization is 0.013 μB/cell.

Unit cell a=9.101 b=12.789 c=16.788 alpha=90.00 beta=90.00 gamma=90.00
Fractional positions:
As 0.223 0.090 0.137
As 0.723 0.090 0.363
As 0.777 0.590 0.363
As 0.723 0.410 0.863
As 0.223 0.410 0.637
As 0.777 0.910 0.863
As 0.277 0.590 0.137
As 0.277 0.910 0.637
S 0.789 0.841 0.562
S 0.711 0.341 0.562
S 0.289 0.659 0.438
S 0.211 0.159 0.438
S 0.711 0.159 0.062
S 0.789 0.659 0.062
S 0.211 0.341 0.938
S 0.289 0.841 0.938
Xe 0.949 0.683 0.708
Xe 0.551 0.183 0.708
Xe 0.449 0.683 0.792
Xe 0.051 0.317 0.292
Xe 0.449 0.817 0.292
Xe 0.949 0.817 0.208
Xe 0.051 0.183 0.792
Xe 0.551 0.317 0.208
N 0.314 0.754 0.396
N 0.686 0.246 0.604
N 0.186 0.246 0.896
N 0.686 0.254 0.104
N 0.314 0.746 0.896
N 0.186 0.254 0.396
N 0.814 0.754 0.104
N 0.814 0.746 0.604
F 0.144 0.656 0.485
F 0.032 0.086 0.158
F 0.238 0.955 0.156
F 0.610 0.125 0.992
F 0.686 0.064 0.465
F 0.390 0.875 0.008
F 0.238 0.881 0.738
F 0.262 0.045 0.656
F 0.434 0.375 0.300
F 0.790 0.727 0.383
F 0.066 0.625 0.800
F 0.290 0.773 0.617
F 0.223 0.449 0.898
F 0.314 0.936 0.535
F 0.738 0.545 0.844
F 0.434 0.125 0.800
F 0.223 0.051 0.398
F 0.186 0.436 0.535
F 0.414 0.404 0.615
F 0.762 0.045 0.844
F 0.032 0.414 0.658
F 0.762 0.119 0.262
F 0.186 0.064 0.035
F 0.814 0.564 0.465
F 0.723 0.051 0.102
F 0.262 0.381 0.738
F 0.777 0.949 0.602
F 0.890 0.875 0.492
F 0.086 0.596 0.115
F 0.723 0.449 0.602
F 0.110 0.125 0.508
F 0.610 0.375 0.492
F 0.762 0.381 0.762
F 0.210 0.227 0.117
F 0.356 0.344 0.985
F 0.262 0.455 0.156
F 0.390 0.625 0.508
F 0.814 0.936 0.965
F 0.777 0.551 0.102
F 0.762 0.455 0.344
F 0.532 0.086 0.342
F 0.790 0.773 0.883
F 0.468 0.914 0.658
F 0.738 0.881 0.762
F 0.890 0.625 0.992
F 0.566 0.875 0.200
F 0.738 0.619 0.262
F 0.314 0.564 0.035
F 0.968 0.586 0.342
F 0.277 0.949 0.898
F 0.856 0.344 0.515
F 0.644 0.844 0.515
F 0.144 0.844 0.985
F 0.710 0.273 0.883
F 0.210 0.273 0.617
F 0.914 0.096 0.385
F 0.414 0.096 0.115
F 0.738 0.955 0.344
F 0.277 0.551 0.398
F 0.856 0.156 0.015
F 0.566 0.625 0.700
F 0.586 0.596 0.385
F 0.086 0.904 0.615
F 0.468 0.586 0.158
F 0.238 0.619 0.238
F 0.290 0.727 0.117
F 0.644 0.656 0.015
F 0.110 0.375 0.008
F 0.238 0.545 0.656
F 0.934 0.125 0.700
F 0.532 0.414 0.842
F 0.356 0.156 0.485
F 0.968 0.914 0.842
F 0.934 0.375 0.200
F 0.686 0.436 0.965
F 0.914 0.404 0.885
F 0.710 0.227 0.383
F 0.262 0.119 0.238
F 0.586 0.904 0.885
F 0.066 0.875 0.300

(5)
AsSXeNF10 | PBE | optimized geometry

Values from the calculation:
The calculation puts the total energy at -218.4 eV/cell. Its crystal system is monoclinic. The value obtained for the density is 3.12 g cm⁻³. The excess energy over the best structure of this formula in the dataset is 0.0 meV/atom. The spin magnetization is 0.001 μB/cell.

Unit cell a=13.655 b=13.655 c=15.368 alpha=60.86 beta=60.86 gamma=22.27
Fractional positions:
As 0.180 0.017 0.025
As 0.983 0.820 0.475
As 0.820 0.983 0.975
As 0.017 0.180 0.525
S 0.387 0.221 0.321
S 0.779 0.613 0.179
S 0.613 0.779 0.679
S 0.221 0.387 0.821
Xe 0.470 0.414 0.182
Xe 0.586 0.530 0.318
Xe 0.530 0.586 0.818
Xe 0.414 0.470 0.682
N 0.588 0.137 0.285
N 0.863 0.412 0.215
N 0.412 0.863 0.715
N 0.137 0.588 0.785
F 0.196 0.343 0.419
F 0.657 0.804 0.081
F 0.804 0.657 0.581
F 0.343 0.196 0.919
F 0.145 0.509 0.261
F 0.491 0.855 0.239
F 0.855 0.491 0.739
F 0.509 0.145 0.761
F 0.612 0.937 0.384
F 0.063 0.388 0.116
F 0.388 0.063 0.616
F 0.937 0.612 0.884
F 0.366 0.159 0.277
F 0.841 0.634 0.223
F 0.634 0.841 0.723
F 0.159 0.366 0.777
F 0.986 0.312 0.995
F 0.688 0.014 0.505
F 0.014 0.688 0.005
F 0.312 0.986 0.495
F 0.384 0.709 0.056
F 0.291 0.616 0.444
F 0.616 0.291 0.944
F 0.709 0.384 0.556
F 0.397 0.894 0.915
F 0.106 0.603 0.585
F 0.603 0.106 0.085
F 0.894 0.397 0.415
F 0.974 0.124 0.137
F 0.876 0.026 0.363
F 0.026 0.876 0.863
F 0.124 0.974 0.637
F 0.372 0.881 0.093
F 0.119 0.628 0.407
F 0.628 0.119 0.907
F 0.881 0.372 0.593
F 0.998 0.138 0.959
F 0.862 0.002 0.541
F 0.002 0.862 0.041
F 0.138 0.998 0.459

(6)
AsSe3N2F6 | PBE | optimized geometry

Values from the calculation:
The calculation puts the total energy at -222.4 eV/cell. Its crystal system is triclinic. The value obtained for the density is 3.36 g cm⁻³. The spin magnetization is 0.001 μB/cell.

Unit cell a=8.496 b=10.631 c=10.735 alpha=82.43 beta=69.85 gamma=82.40
Fractional positions:
As 0.206 0.676 0.626
As 0.792 0.146 0.863
As 0.794 0.324 0.374
As 0.208 0.854 0.137
Se 0.664 0.997 0.314
Se 0.710 0.921 0.529
Se 0.727 0.479 0.016
Se 0.355 0.433 0.180
Se 0.336 0.003 0.686
Se 0.707 0.705 0.367
Se 0.273 0.521 0.984
Se 0.270 0.230 0.041
Se 0.290 0.079 0.471
Se 0.730 0.770 0.959
Se 0.293 0.295 0.633
Se 0.645 0.567 0.820
N 0.272 0.242 0.493
N 0.764 0.627 0.053
N 0.321 0.157 0.736
N 0.679 0.843 0.264
N 0.328 0.274 0.169
N 0.236 0.373 0.947
N 0.728 0.758 0.507
N 0.672 0.726 0.831
F 0.239 0.603 0.480
F 0.031 0.774 0.607
F 0.910 0.202 0.700
F 0.090 0.798 0.300
F 0.925 0.443 0.276
F 0.660 0.202 0.469
F 0.075 0.557 0.724
F 0.071 0.996 0.146
F 0.338 0.928 0.200
F 0.084 0.777 0.072
F 0.662 0.072 0.800
F 0.351 0.710 0.124
F 0.969 0.226 0.393
F 0.340 0.798 0.531
F 0.761 0.397 0.520
F 0.613 0.419 0.353
F 0.649 0.290 0.876
F 0.667 0.093 0.028
F 0.387 0.581 0.647
F 0.333 0.907 0.972
F 0.916 0.223 0.928
F 0.929 0.004 0.854
F 0.182 0.747 0.774
F 0.818 0.253 0.226

(7)
NaAsF6 | PBE | optimized geometry

Values from the calculation:
The calculation puts the total energy at -36.3 eV/cell. Its crystal system is cubic. The value obtained for the density is 2.60 g cm⁻³.

Unit cell a=5.761 b=5.761 c=5.761 alpha=60.00 beta=60.00 gamma=60.00
Fractional positions:
Na 0.500 0.500 0.500
As 0.000 0.000 0.000
F 0.783 0.783 0.217
F 0.217 0.783 0.217
F 0.783 0.217 0.217
F 0.217 0.217 0.783
F 0.783 0.217 0.783
F 0.217 0.783 0.783

Taking the records one at a time from the top gives calculated formation energy values of -0.7184; -1.7345; -1.4918; -1.6213; -1.6363; -1.2563; -2.6943 eV per atom.